VASP calculation (meta-GGA r2SCAN) on a relaxed K3SbSe3 crystal.

```
K3SbSe3
1.0
9.838 0.000 0.000
0.000 9.838 0.000
0.000 0.000 9.838
K Sb Se
12 4 12
Cartesian
8.050 1.788 6.707
1.841 3.078 6.760
3.078 6.760 1.841
6.760 1.841 3.078
7.998 7.998 7.998
4.154 0.765 9.073
0.765 9.073 4.154
9.073 4.154 0.765
5.684 5.684 5.684
6.707 8.050 1.788
1.788 6.707 8.050
3.131 3.131 3.131
0.284 0.284 0.284
4.635 9.554 5.203
5.203 4.635 9.554
9.554 5.203 4.635
2.177 5.932 4.892
7.662 1.012 0.027
9.811 2.743 3.907
7.096 8.826 4.946
1.012 0.027 7.662
4.946 7.096 8.826
0.027 7.662 1.012
3.907 9.811 2.743
4.892 2.177 5.932
8.826 4.946 7.096
5.932 4.892 2.177
2.743 3.907 9.811
```

Summary:
formation enthalpy at 0 K = -1.13 eV/atom
symmetry = P2_13, No. 198

=====

VASP calculation (meta-GGA r2SCAN) on a relaxed SiO2 crystal.

```
SiO2
1.0
-1.817 -4.274 1.868
-3.288 -6.162 -10.597
19.265 -13.265 -4.885
Si O
28 56
Cartesian
7.322 -17.552 -11.641
-2.508 -7.948 -6.105
-0.084 -5.245 0.893
14.245 -18.467 -14.511
-0.321 -7.036 -4.257
6.644 -9.230 -2.384
14.316 -19.682 -9.810
5.095 -12.908 -10.057
3.839 -5.617 -2.586
9.542 -13.979 -8.857
2.387 -8.260 -3.336
16.673 -15.762 -7.512
14.487 -16.674 -9.362
6.382 -8.468 -6.887
-0.150 -4.029 -3.809
7.785 -15.240 -6.722
6.843 -6.152 -1.969
11.781 -15.439 -10.280
12.493 -19.713 -12.383
7.551 -13.409 -4.217
6.616 -10.297 -9.393
9.070 -10.796 -3.555
7.520 -14.475 -11.225
-2.189 -6.232 -8.661
16.352 -17.478 -4.957
10.329 -18.082 -11.029
1.669 -3.999 -1.234
4.624 -9.728 -4.752
2.199 -2.479 -1.298
6.105 -9.352 -8.197
15.734 -18.682 -13.922
11.962 -21.232 -12.319
4.612 -11.187 -5.439
15.260 -16.397 -10.755
5.860 -11.713 -9.289
12.963 -16.169 -9.476
11.252 -18.703 -12.197
-1.091 -7.315 -2.863
13.199 -19.475 -13.814
-1.574 -5.032 0.306
6.117 -13.716 -11.010
-0.344 -5.448 -4.555
5.566 -9.786 -3.444
0.960 -4.236 0.195
10.246 -11.375 -2.615
8.049 -9.982 -2.604
15.710 -16.834 -3.631
7.770 -8.923 -6.196
14.504 -18.262 -9.066
8.063 -14.352 -5.414
4.464 -13.892 -8.947
-1.029 -7.818 -5.477
13.581 -19.441 -11.223
7.300 -16.057 -11.025
9.705 -9.816 -4.665
8.786 -18.193 -11.458
15.195 -15.895 -8.140
-1.548 -6.876 -9.987
15.763 -20.339 -10.065
8.975 -15.045 -7.792
-2.956 -9.495 -6.107
17.118 -14.214 -7.511
10.594 -18.917 -9.668
-2.536 -7.417 -7.628
1.205 -7.532 -4.142
6.113 -9.528 -0.889
16.703 -16.294 -5.989
9.554 -12.520 -8.168
8.057 -14.181 -12.719
3.133 -9.303 -4.314
0.586 -4.274 -2.397
6.858 -7.647 -2.584
5.381 -5.504 -2.153
10.703 -16.527 -10.802
11.032 -14.403 -9.297
6.396 -14.787 -7.413
8.596 -13.921 -10.163
8.303 -11.990 -4.321
2.912 -5.008 -1.415
3.917 -12.331 -10.993
5.192 -8.663 -5.817
3.470 -7.171 -2.825
-1.594 -3.368 -3.552
3.576 -4.772 -3.941
```

Summary:
formation enthalpy at 0 K = -3.03 eV/atom
symmetry = P1, No. 1

=====

VASP calculation (meta-GGA r2SCAN) on a relaxed LuNbPb2O6 crystal.

```
LuNbPb2O6
1.0
0.000 4.148 4.148
4.148 0.000 4.148
4.148 4.148 0.000
Lu Nb Pb O
1 1 2 6
Cartesian
0.000 0.000 0.000
4.148 4.148 4.148
2.074 2.074 2.074
6.221 6.221 6.221
2.148 4.148 4.148
6.148 4.148 4.148
4.148 2.148 4.148
4.148 6.148 4.148
4.148 4.148 2.148
4.148 4.148 6.148
```

Summary:
formation enthalpy at 0 K = -2.47 eV/atom
symmetry = Fm-3m, No. 225

=====

VASP calculation (meta-GGA r2SCAN) on a relaxed Fe7P6O24 crystal.

```
Fe7P6O24
1.0
-2.267 -1.843 -5.679
-1.633 -6.300 4.389
-5.571 6.699 3.341
Fe P O
7 6 24
Cartesian
-1.406 -4.464 2.998
-8.066 3.021 -0.947
-5.026 0.518 1.793
-4.446 -1.962 0.258
-6.354 -0.306 4.579
-3.117 -1.138 -2.527
-2.786 3.350 1.670
-3.350 -5.112 0.399
-6.122 3.669 1.653
-2.990 -1.667 3.225
-6.482 0.224 -1.173
-7.203 -1.919 1.828
-2.268 0.476 0.223
-2.145 -5.536 1.293
-7.326 4.093 0.759
-3.111 -5.738 -0.954
-6.361 4.295 3.006
-3.458 -3.613 0.384
-6.013 2.170 1.667
-4.672 -5.685 1.009
-4.799 4.241 1.042
-1.874 -2.535 2.594
-7.598 1.092 -0.542
-3.879 -1.198 2.058
-5.592 -0.246 -0.007
-3.790 -2.370 4.288
-5.682 0.926 -2.237
-4.598 -2.258 -1.814
-4.874 0.814 3.865
-6.477 -0.782 2.576
-2.994 -0.662 -0.525
-6.319 3.538 -1.572
-3.152 -4.982 3.624
-6.174 -2.778 1.048
-3.297 1.335 1.004
-8.187 -1.312 0.790
-1.284 -0.131 1.262
```

Summary:
formation enthalpy at 0 K = -2.12 eV/atom
symmetry = P-1, No. 2

=====

VASP calculation (meta-GGA r2SCAN) on a relaxed ScTlF6 crystal.

```
ScTlF6
1.0
5.146 -2.668 0.077
5.146 2.668 0.077
3.698 0.000 4.465
Sc Tl F
1 1 6
Cartesian
6.995 0.000 2.309
0.000 0.000 0.000
8.581 0.716 1.275
7.691 0.923 3.971
8.080 -1.639 2.793
6.300 -0.923 0.648
5.911 1.639 1.825
5.410 -0.716 3.344
```

Summary:
formation enthalpy at 0 K = -3.07 eV/atom
symmetry = R-3, No. 148

=====

VASP calculation (meta-GGA r2SCAN) on a relaxed PuBr2 crystal.

```
PuBr2
1.0
-1.649 5.880 4.235
0.904 -4.145 6.108
3.744 0.973 0.107
Pu Br
2 4
Cartesian
2.999 2.708 10.450
1.499 1.354 5.225
-0.212 0.496 2.928
3.211 2.212 7.522
0.776 4.193 4.691
2.223 -1.485 5.758
```

Summary:
formation enthalpy at 0 K = -1.82 eV/atom
symmetry = P4_2/m, No. 84

=====

VASP calculation (meta-GGA r2SCAN) on a relaxed TbGaCo4 crystal.

```
TbGaCo4
1.0
-4.592 6.662 -3.111
3.692 -5.641 -5.450
-3.286 -2.228 0.080
Tb Ga Co
3 3 12
Cartesian
0.930 -1.540 -4.671
-1.831 2.561 -3.891
-4.592 6.662 -3.112
-3.939 2.217 -1.516
-4.389 2.728 -5.797
-2.093 -0.603 -4.241
2.233 -3.526 -6.438
0.558 -1.095 -7.574
1.172 -1.791 -1.731
2.519 -3.850 -3.720
-0.615 0.697 -5.843
-0.286 0.324 -2.719
-1.188 -1.867 -2.243
-2.999 0.660 -6.238
-1.649 -1.345 -6.619
-2.538 0.138 -1.862
0.699 -4.750 -5.029
-4.885 3.543 -3.452
```

Summary:
formation enthalpy at 0 K = -0.24 eV/atom
symmetry = P6/mmm, No. 191

=====

VASP calculation (meta-GGA r2SCAN) on a relaxed Sc2Se3O12 crystal.

```
Sc2Se3O12
1.0
-5.485 3.644 6.475
5.509 -2.972 6.339
11.764 7.784 5.585
Sc Se O
8 12 48
Cartesian
5.047 6.342 7.717
15.012 4.418 10.654
6.740 2.113 10.683
-3.224 4.037 7.745
10.556 3.054 7.663
9.490 7.715 10.724
1.232 5.401 10.736
2.298 0.740 7.675
10.527 8.531 7.456
7.105 3.842 13.781
1.261 -0.075 10.944
4.683 4.613 4.618
8.176 8.302 13.882
8.037 5.013 9.029
3.612 0.153 4.517
3.751 3.442 9.370
12.072 5.733 11.964
4.206 7.539 10.870
-0.284 2.723 6.435
7.582 0.916 7.529
4.792 5.812 5.735
11.501 7.450 17.083
6.996 2.643 12.664
0.287 1.006 1.316
8.229 9.209 10.074
10.768 2.257 9.551
3.559 -0.754 8.325
1.020 6.199 8.848
10.613 7.845 8.942
6.162 5.096 13.305
1.175 0.610 9.457
5.626 3.359 5.094
9.677 7.545 6.445
8.659 4.360 13.961
2.111 0.910 11.954
3.129 4.095 4.438
12.281 4.112 8.098
7.856 3.769 10.092
3.932 4.686 8.307
3.860 -1.376 5.072
6.655 0.934 6.179
1.104 2.399 7.240
5.133 7.522 12.220
10.684 6.057 11.160
8.730 2.083 7.426
-1.084 1.324 6.126
3.057 6.372 10.973
12.872 7.131 12.273
6.589 1.236 8.798
-1.199 3.670 7.418
5.199 7.219 9.601
12.987 4.785 10.981
0.051 3.472 5.009
8.319 -0.546 7.688
11.737 4.983 13.390
3.469 9.001 10.711
5.042 3.350 10.389
2.426 0.176 3.374
6.746 5.105 8.010
9.362 8.280 15.025
2.367 3.690 10.215
3.199 1.099 5.792
9.421 4.765 8.184
8.589 7.356 12.607
3.664 2.037 8.534
-0.493 4.343 10.301
8.124 6.418 9.865
7.928 9.832 13.327
```

Summary:
formation enthalpy at 0 K = -1.65 eV/atom
symmetry = P2_1/c, No. 14

=====

VASP calculation (meta-GGA r2SCAN) on a relaxed DyPPt crystal.

```
DyPPt
1.0
4.107 0.000 0.000
-2.054 3.557 0.000
0.000 0.000 3.879
Dy P Pt
1 1 1
Cartesian
0.000 0.000 0.000
2.054 1.186 1.940
0.000 2.371 1.940
```

Summary:
formation enthalpy at 0 K = -1.52 eV/atom
symmetry = P-6m2, No. 187

=====

VASP calculation (meta-GGA r2SCAN) on a relaxed Th2Co17 crystal.

```
Th2Co17
1.0
6.243 0.007 0.758
0.672 6.206 0.758
0.008 0.007 6.288
Th Co
2 17
Cartesian
4.540 4.080 5.118
2.383 2.141 2.686
2.388 2.146 5.877
2.725 5.291 3.072
0.661 0.594 0.745
6.263 5.628 7.059
6.919 6.217 4.660
3.793 6.210 1.137
0.336 3.103 0.379
2.243 4.475 7.046
0.195 1.747 4.737
5.166 6.214 3.067
4.688 1.754 7.046
0.486 4.467 2.310
2.430 6.214 5.495
4.198 0.931 4.732
4.535 4.075 1.927
1.373 4.075 4.732
5.551 2.146 3.072
```

Summary:
formation enthalpy at 0 K = -0.06 eV/atom
symmetry = R-3m, No. 166

=====

VASP calculation (meta-GGA r2SCAN) on a relaxed HfCoSi crystal.

```
HfCoSi
1.0
3.855 0.000 0.000
0.000 6.348 0.000
0.000 0.000 7.003
Hf Co Si
4 4 4
Cartesian
0.964 0.024 2.137
0.964 3.198 1.365
2.891 6.324 4.866
2.891 3.150 5.638
0.964 0.958 6.544
0.964 4.132 3.960
2.891 5.390 0.459
2.891 2.216 3.043
0.964 1.797 4.251
0.964 4.971 6.254
2.891 4.551 2.753
2.891 1.377 0.749
```

Summary:
formation enthalpy at 0 K = -0.82 eV/atom
symmetry = Pnma, No. 62

=====

VASP calculation (meta-GGA r2SCAN) on a relaxed NaLaS2 crystal.

```
NaLaS2
1.0
-2.897 2.897 6.080
2.897 -2.897 6.080
2.897 2.897 -6.080
Na La S
2 2 4
Cartesian
0.000 0.000 0.000
0.000 2.897 3.040
2.897 0.000 3.040
0.000 0.000 6.080
2.897 0.000 5.921
2.897 0.000 0.159
0.000 0.000 8.961
0.000 0.000 3.199
```

Summary:
formation enthalpy at 0 K = -2.12 eV/atom
symmetry = I4_1/amd, No. 141

=====

VASP calculation (meta-GGA r2SCAN) on a relaxed Li2FeO3 crystal.

```
Li2FeO3
1.0
5.136 0.003 -0.153
2.563 4.170 -0.073
-1.137 1.335 9.487
Li Fe O
8 4 12
Cartesian
6.388 2.116 -0.183
1.970 0.698 4.674
5.462 3.496 2.212
1.044 2.078 7.069
2.633 2.058 9.353
1.915 3.475 4.650
4.608 2.096 4.613
3.891 3.512 -0.090
3.614 3.500 6.984
2.907 2.069 2.277
0.333 0.746 2.354
6.189 4.823 6.907
1.115 1.992 3.439
4.395 4.746 8.070
2.128 0.822 1.191
5.409 3.576 5.821
3.689 0.824 3.350
1.834 3.576 8.133
2.236 3.495 1.230
2.954 2.079 5.934
4.691 1.994 1.127
2.836 4.746 5.910
3.573 3.490 3.325
4.290 2.074 8.029
```

Summary:
formation enthalpy at 0 K = -1.91 eV/atom

=====

VASP calculation (meta-GGA r2SCAN) on a relaxed CoO crystal.

```
CoO
1.0
-0.814 -1.995 -2.363
4.426 -2.683 0.742
-0.888 -0.634 3.006
Co O
2 2
Cartesian
-0.823 -1.551 -0.571
1.364 -2.439 1.590
0.806 -2.539 -0.298
2.994 -3.427 1.863
```

Summary:
formation enthalpy at 0 K = -1.12 eV/atom
symmetry = P6_3mc, No. 186